P.
Below is a relaxed Li2HN crystal, with properties calculated at the PBE-GGA level.

Cell: 7.1553 7.1553 7.1553 Å, 120.46 120.33 89.32°
Closest atoms and distances in Å follow each position.
Element x y z (fractional)
Li  0.8560  0.1144  0.7585  4 N 1.96-2.07
Li  0.1440  0.9025  0.2585  4 N 1.96-2.07
Li  0.6297  0.8852  0.7555  4 N 2.14-2.35, 2 H 2.17, 3 Li 2.30-2.40
Li  0.1322  0.3846  0.7524  2 H 1.95-1.98, 4 N 2.13-2.16
Li  0.1214  0.3546  0.2444  2 H 2.06-2.13, 3 N 2.12-2.14
Li  0.6049  0.8843  0.2604  2 H 2.05-2.17, 3 N 2.11-2.14, 1 Li 2.27
Li  0.1239  0.8843  0.7793  2 H 2.05-2.17, 3 N 2.11-2.14, 1 Li 2.27
Li  0.6102  0.3546  0.7332  2 H 2.06-2.13, 3 N 2.12-2.14
Li  0.3703  0.1257  0.2555  4 N 2.14-2.35, 2 H 2.17, 3 Li 2.30-2.40
Li  0.8678  0.6203  0.2524  2 H 1.95-1.98, 4 N 2.13-2.16
Li  0.8761  0.6555  0.7604  2 H 2.05-2.17, 3 N 2.11-2.14, 1 Li 2.27
Li  0.3898  0.1230  0.7444  2 H 2.06-2.13, 3 N 2.12-2.14
Li  0.8786  0.1230  0.2332  2 H 2.06-2.13, 3 N 2.12-2.14
Li  0.3951  0.6555  0.2793  2 H 2.05-2.17, 3 N 2.11-2.14, 1 Li 2.27
Li  0.9940  0.0030  0.5090  8 Li 2.23-2.35, 5 N 2.32-2.40
Li  0.0060  0.5150  0.0090  8 Li 2.23-2.35, 5 N 2.32-2.40
H  0.6988  0.3136  0.1148  1 N 1.04
H  0.7040  0.5986  0.3946  1 N 1.04
H  0.3862  0.3006  0.0866  1 N 1.04
H  0.7141  0.3006  0.4145  1 N 1.04
H  0.2960  0.6905  0.8946  1 N 1.04
H  0.3012  0.4160  0.6148  1 N 1.03
H  0.6138  0.7004  0.9145  1 N 1.04
H  0.2859  0.7004  0.5866  1 N 1.04
N  0.7570  0.2524  0.9953  1 H 1.04
N  0.7611  0.7763  0.5152  1 H 1.04
N  0.2085  0.2420  0.9705  1 H 1.04
N  0.7714  0.2420  0.5335  1 H 1.04
N  0.2389  0.7542  0.0152  1 H 1.04
N  0.2430  0.2383  0.4953  1 H 1.03
N  0.7915  0.7621  0.0335  1 H 1.04
N  0.2286  0.7621  0.4705  1 H 1.04

Summary:
Space group   Ima2 (46)

=====

Q.
Below is a relaxed Li2HN crystal, with properties calculated at the PBE-GGA level.

Cell: 3.6005 4.9175 7.8392 Å, 90.00 90.00 90.00°
Closest atoms and distances in Å follow each position.
Element x y z (fractional)
Li  0.2500  0.0357  0.6018  4 N 2.14-2.32, 1 H 2.26, 3 Li 2.33-2.38
Li  0.2500  0.4643  0.1018  4 N 2.14-2.32, 1 H 2.26, 3 Li 2.33-2.38
Li  0.7500  0.9643  0.3982  4 N 2.14-2.32, 1 H 2.26, 3 Li 2.33-2.38
Li  0.7500  0.5357  0.8982  4 N 2.14-2.32, 1 H 2.26, 3 Li 2.33-2.38
Li  0.2500  0.5900  0.7023  3 N 1.90-2.09, 2 H 2.05
Li  0.2500  0.9100  0.2023  3 N 1.90-2.09, 2 H 2.05
Li  0.7500  0.4100  0.2977  3 N 1.90-2.09, 2 H 2.05
Li  0.7500  0.0900  0.7977  3 N 1.90-2.09, 2 H 2.05
H  0.2500  0.1069  0.9215  1 N 1.03
H  0.2500  0.3931  0.4215  1 N 1.03
H  0.7500  0.8931  0.0785  1 N 1.03
H  0.7500  0.6069  0.5785  1 N 1.03
N  0.2500  0.2858  0.8525  1 H 1.03
N  0.2500  0.2142  0.3525  1 H 1.03
N  0.7500  0.7142  0.1475  1 H 1.03
N  0.7500  0.7858  0.6475  1 H 1.03

Summary:
Space group   Pnma (62)

=====

How far above the most stable structure does each one sit? In meV per atom: P 9; Q 0.

=====

P.
Below is a relaxed LiNd2H6O6 crystal, with properties calculated at the PBE-GGA level.

Cell: 6.5737 6.6207 3.8105 Å, 89.84 90.02 120.77°
Closest atoms and distances in Å follow each position.
Element x y z (fractional)
Li  0.0000  0.0000  0.5000  6 H 2.02-2.07
Nd  0.3351  0.6677  0.2602  9 O 2.51-2.63, 3 H 2.74-2.76
Nd  0.6649  0.3323  0.7398  9 O 2.51-2.63, 3 H 2.74-2.76
H  0.8929  0.7235  0.1620  1 O 0.99
H  0.8348  0.1152  0.1585  1 O 0.99
H  0.2663  0.1680  0.1486  1 O 0.99
H  0.1071  0.2765  0.8380  1 O 0.99
H  0.1652  0.8848  0.8415  1 O 0.99
H  0.7337  0.8320  0.8514  1 O 0.99
O  0.9182  0.5982  0.2530  1 H 0.99
O  0.6823  0.0840  0.2564  1 H 0.99
O  0.3919  0.3146  0.2588  1 H 0.99
O  0.0818  0.4018  0.7470  1 H 0.99
O  0.3177  0.9160  0.7436  1 H 0.99
O  0.6081  0.6854  0.7412  1 H 0.99

Summary:
Space group   P-1 (2)

=====

Q.
Below is a relaxed LiNd2H6O6 crystal, with properties calculated at the PBE-GGA level.

Cell: 9.5376 7.6292 3.8547 Å, 90.00 90.00 135.76°
Closest atoms and distances in Å follow each position.
Element x y z (fractional)
Li  0.4403  0.4929  0.7500  1 O 1.88
Nd  0.2460  0.6941  0.2500  7 O 2.32-2.49
Nd  0.7313  0.3298  0.7500  5 O 2.24-2.51
H  0.9536  0.7402  0.2500  1 O 0.99
H  0.6792  0.9790  0.2500  1 O 0.98
H  0.2254  0.3004  0.2500  1 O 0.99
H  0.0218  0.2714  0.7500  1 O 0.99
H  0.2789  0.0181  0.7500  1 O 0.99
H  0.7963  0.7545  0.7500  1 O 0.98
O  0.9403  0.5994  0.2500  1 H 0.99
O  0.6176  0.0405  0.2500  1 H 0.98
O  0.3403  0.4859  0.2500  1 H 0.99
O  0.0397  0.4161  0.7500  1 H 0.99
O  0.3559  0.9761  0.7500  1 H 0.99
O  0.6772  0.5716  0.7500  1 H 0.98

Summary:
Space group   Pm (6)

=====

R.
Below is a relaxed LiNd2H6O6 crystal, with properties calculated at the PBE-GGA level.

Cell: 6.7034 7.6210 3.5858 Å, 90.00 90.00 113.34°
Closest atoms and distances in Å follow each position.
Element x y z (fractional)
Li  0.3986  0.0306  0.2500  1 O 1.89, 1 H 2.06
Nd  0.3009  0.6036  0.2500  8 O 2.43-2.60
Nd  0.7097  0.3900  0.7500  8 O 2.44-2.59
H  0.9224  0.7290  0.2500  1 O 0.99
H  0.8107  0.1127  0.2500  1 O 0.98
H  0.2550  0.2245  0.2500  1 O 0.99
H  0.0809  0.2679  0.7500  1 O 0.99
H  0.1663  0.8639  0.7500  1 O 0.99
H  0.6914  0.7777  0.7500  1 O 0.99
O  0.9242  0.6002  0.2500  1 H 0.99
O  0.7034  0.1710  0.2500  1 H 0.98
O  0.4091  0.3168  0.2500  1 H 0.99
O  0.0887  0.4000  0.7500  1 H 0.99
O  0.3088  0.8532  0.7500  1 H 0.99
O  0.5737  0.6488  0.7500  1 H 0.99

Summary:
Space group   Pm (6)

=====

How far above the most stable structure does each one sit? In meV per atom: P 73; Q 10; R 0.